Compound: CuI2O6
Source: Materials Project
Functional: r2SCAN
Structure: relaxed

Geometry as POSCAR:
```
CuI2O6
1.0
-0.9127 -4.7241 1.5305
3.7673 0.5909 4.0706
-7.3213 2.9903 4.8639
O I Cu
12 4 2
Direct
0.8064 0.9797 0.8800 O
0.7779 0.0928 0.2770 O
0.3064 0.0203 0.1200 O
0.2778 0.9072 0.7230 O
0.8966 0.1419 0.5662 O
0.8691 0.5023 0.7951 O
0.2943 0.3465 0.9197 O
0.3966 0.8581 0.4338 O
0.7943 0.6535 0.0803 O
0.3472 0.4552 0.5865 O
0.8472 0.5448 0.4135 O
0.3691 0.4977 0.2050 O
0.0050 0.7341 0.9319 I
0.5049 0.2659 0.0681 I
0.0171 0.2583 0.4021 I
0.5171 0.7417 0.5978 I
0.5960 0.7813 0.2543 Cu
0.0960 0.2187 0.7457 Cu
```

Properties
The calculation puts the total magnetization at 2.00 μB per cell. Its calculated volume is 14.4 Å³ per atom. The symmetry is P2_1. The energy above the most stable polymorph in this dataset is 0.004 eV per atom.